## Gd2ReO5 (PBE-GGA)

Data for an optimized crystal structure of Gd2ReO5.

## Properties
- Calculated density: 8.9 g/cm3
- E: -87.48 eV/f.u.
- ΔE_f: -3197 meV/atom

Cell lengths 8.6416, 8.6416, 5.7773 Å; angles 90.00, 90.00, 90.00 degrees
Sites, in units of the cell vectors:
1 Gd 0.3589 0.3497 0.2498
2 O 0.4058 0.2005 0.9048
3 O 0.0918 0.7010 0.6007
4 O 0.2010 0.4082 0.6007
5 Gd 0.1411 0.1503 0.7502
6 O 0.9058 0.7005 0.0952
7 O 0.9082 0.2990 0.6007
8 Gd 0.8497 0.1411 0.2498
9 Re 0.0000 0.5000 0.5404
10 O 0.0942 0.2995 0.0952
11 Gd 0.1503 0.8589 0.2498
12 Gd 0.6411 0.6503 0.2498
13 O 0.0000 0.0000 0.0000
14 O 0.5000 0.5000 0.0000
15 Gd 0.8589 0.8497 0.7502
16 O 0.5000 0.5000 0.5000
17 O 0.0000 0.0000 0.5000
18 O 0.7990 0.5918 0.6007
19 Re 0.5000 0.0000 0.8524
20 O 0.7010 0.9082 0.3993
21 O 0.2005 0.5942 0.0952
22 O 0.2995 0.9058 0.9048
23 O 0.7005 0.0942 0.9048
24 O 0.5942 0.7995 0.9048
25 O 0.2990 0.0918 0.3993
26 O 0.5918 0.2010 0.3993
27 Gd 0.6503 0.3589 0.7502
28 O 0.4082 0.7990 0.3993
29 Re 0.0000 0.5000 0.1476
30 Gd 0.3497 0.6411 0.7502
31 Re 0.5000 0.0000 0.4596
32 O 0.7995 0.4058 0.0952